First-principles (meta-GGA r2SCAN) data for an optimized crystal structure of Nb3Se4, as listed in the Materials Project database.

a b c (Å): 10.1566 10.1566 3.4903
angles (deg): 90.00 90.00 120.00
Space group P6_3/m (No. 176)
Inequivalent atoms, fractional coordinates:
Nb 0.1060 0.6191 0.2500 (multiplicity 6)
Se 0.0602 0.3413 0.2500 (multiplicity 6)
Se 0.3333 0.6667 0.7500 (multiplicity 2)

Summary:
**Energy of formation from the pure elements**: -1.00 eV/atom
**Total magnetization**: 0.00 μB/cell
**Electronic total energy**: -276.87 eV per cell